# 1
Computed, not measured: crystalline SrEu3 at its relaxed geometry at the GGA-PBE level of DFT.

Unit cell a=7.0681 b=7.0681 c=7.0681 alpha=133.09 beta=133.09 gamma=68.52
Last column: nearest neighbours and their distance in Å.
Element x y z (fractional)
Eu 0.7500 0.2500 0.5000  8 Eu 3.98-4.06, 4 Sr 4.06
Eu 0.2500 0.7500 0.5000  8 Eu 3.98-4.06, 4 Sr 4.06
Sr 0.0000 0.0000 0.0000  12 Eu 3.98-4.06
Eu 0.5000 0.5000 0.0000  4 Sr 3.98, 8 Eu 4.06

## Properties
* electronic total energy: -8.080 eV/atom
* ΔH_f (0 K): 0.1 eV per formula unit

=====

# 2
Computed, not measured: crystalline HoPd2Pb at its relaxed geometry at the GGA-PBE level of DFT.

Unit cell a=4.8662 b=4.8662 c=4.8662 alpha=60.00 beta=60.00 gamma=60.00
Last column: nearest neighbours and their distance in Å.
Element x y z (fractional)
Pd 0.7500 0.7500 0.7500  4 Pb 2.98, 4 Ho 2.98
Pb 0.0000 0.0000 0.0000  8 Pd 2.98
Ho 0.5000 0.5000 0.5000  8 Pd 2.98
Pd 0.2500 0.2500 0.2500  4 Pb 2.98, 4 Ho 2.98

## Properties
* electronic total energy: -5.370 eV/atom
* ΔH_f (0 K): -2.8 eV per formula unit

=====

# 3
Computed, not measured: crystalline B2AsCl2 at its relaxed geometry at the GGA-PBE level of DFT.

Unit cell a=7.3973 b=7.6647 c=11.4580 alpha=99.41 beta=100.30 gamma=117.12
Last column: nearest neighbours and their distance in Å.
Element x y z (fractional)
Cl 0.3870 0.8563 0.6600  1 B 1.76
B 0.9020 0.7297 0.6408  2 B 1.75-1.76, 1 Cl 1.76
Cl 0.7422 0.2527 0.0097  1 B 1.75
As 0.9169 0.4696 0.6859  3 B 2.13-2.18
Cl 0.2578 0.7473 0.9903  1 B 1.75
Cl 0.8436 0.8299 0.1563  1 B 1.76
As 0.2244 0.3388 0.2042  3 B 2.13-2.19
B 0.9400 0.0931 0.2143  3 B 1.70-1.76, 1 Cl 1.76
B 0.8430 0.2244 0.2905  3 B 1.70-1.75, 1 Cl 1.76
As 0.0831 0.5304 0.3141  3 B 2.13-2.18
Cl 0.2214 0.2582 0.5011  1 B 1.76
B 0.1570 0.7756 0.7095  3 B 1.70-1.75, 1 Cl 1.76
B 0.1057 0.7318 0.8488  1 Cl 1.75, 2 B 1.75-1.76
B 0.0600 0.9069 0.7857  3 B 1.70-1.76, 1 Cl 1.76
B 0.8943 0.2682 0.1512  1 Cl 1.75, 2 B 1.75-1.76
Cl 0.6130 0.1437 0.3400  1 B 1.76
Cl 0.7786 0.7418 0.4989  1 B 1.76
Cl 0.1564 0.1701 0.8437  1 B 1.76
B 0.0980 0.2703 0.3592  2 B 1.75-1.76, 1 Cl 1.76
As 0.7756 0.6612 0.7958  3 B 2.13-2.19

## Properties
* electronic total energy: -4.782 eV/atom
* ΔH_f (0 K): -3.4 eV per formula unit

=====

# 4
Computed, not measured: crystalline Ba3NdB9O18 at its relaxed geometry at the GGA-PBE level of DFT.

Unit cell a=7.3240 b=7.3240 c=17.7872 alpha=90.00 beta=90.00 gamma=120.00
Last column: nearest neighbours and their distance in Å.
Element x y z (fractional)
B 0.7110 0.5473 0.4171  3 O 1.33-1.41
O 0.7089 0.5405 0.2500  2 B 1.41-1.42
Ba 0.0000 0.0000 0.7500  6 O 2.78-2.95
Ba 0.6667 0.3333 0.8648  9 O 2.76-3.09
O 0.0781 0.6653 0.2500  1 B 1.33
O 0.3761 0.8741 0.5821  2 B 1.41
Ba 0.3333 0.6667 0.3648  9 O 2.76-3.09
B 0.1184 0.4962 0.7500  3 O 1.33-1.42
O 0.7466 0.7444 0.4161  1 B 1.33
O 0.4128 0.0781 0.7500  1 B 1.33
O 0.6239 0.1259 0.4179  2 B 1.41
B 0.2890 0.4527 0.9171  3 O 1.33-1.41
Ba 0.3333 0.6667 0.1352  9 O 2.76-3.09
B 0.1637 0.7110 0.9171  3 O 1.33-1.41
O 0.2556 0.0022 0.0839  1 B 1.33
O 0.2534 0.2556 0.9161  1 B 1.33
O 0.2534 0.2556 0.5839  1 B 1.33
Nd 0.0000 0.0000 0.5000  6 O 2.39
O 0.3347 0.4128 0.2500  1 B 1.33
B 0.5038 0.6222 0.7500  3 O 1.33-1.42
B 0.7110 0.5473 0.0829  3 O 1.33-1.41
B 0.5473 0.8363 0.9171  3 O 1.33-1.41
O 0.0022 0.7466 0.5839  1 B 1.33
O 0.3761 0.8741 0.9179  2 B 1.41
B 0.4527 0.1637 0.0829  3 O 1.33-1.41
O 0.0022 0.7466 0.9161  1 B 1.33
O 0.7444 0.9978 0.9161  1 B 1.33
O 0.6653 0.5872 0.7500  1 B 1.33
O 0.9219 0.3347 0.7500  1 B 1.33
Ba 0.0000 0.0000 0.2500  6 O 2.78-2.95
B 0.8363 0.2890 0.0829  3 O 1.33-1.41
B 0.3778 0.8816 0.7500  3 O 1.33-1.42
O 0.2911 0.4595 0.7500  2 B 1.41-1.42
O 0.2556 0.0022 0.4161  1 B 1.33
B 0.4962 0.3778 0.2500  3 O 1.33-1.42
O 0.7466 0.7444 0.0839  1 B 1.33
O 0.8741 0.4980 0.0821  2 B 1.41
O 0.9978 0.2534 0.4161  1 B 1.33
O 0.5020 0.3761 0.4179  2 B 1.41
B 0.8363 0.2890 0.4171  3 O 1.33-1.41
B 0.8816 0.5038 0.2500  3 O 1.33-1.42
B 0.4527 0.1637 0.4171  3 O 1.33-1.41
O 0.1259 0.5020 0.9179  2 B 1.41
B 0.2890 0.4527 0.5829  3 O 1.33-1.41
O 0.4980 0.6239 0.9179  2 B 1.41
B 0.6222 0.1184 0.2500  3 O 1.33-1.42
O 0.5020 0.3761 0.0821  2 B 1.41
O 0.5872 0.9219 0.2500  1 B 1.33
Nd 0.0000 0.0000 0.0000  6 O 2.39
O 0.9978 0.2534 0.0839  1 B 1.33
B 0.5473 0.8363 0.5829  3 O 1.33-1.41
Ba 0.6667 0.3333 0.6352  9 O 2.76-3.09
O 0.1684 0.7089 0.7500  2 B 1.41-1.42
O 0.4980 0.6239 0.5821  2 B 1.41
O 0.1259 0.5020 0.5821  2 B 1.41
O 0.6239 0.1259 0.0821  2 B 1.41
O 0.8316 0.2911 0.2500  2 B 1.41-1.42
O 0.5405 0.8316 0.7500  2 B 1.41-1.42
O 0.4595 0.1684 0.2500  2 B 1.41-1.42
O 0.7444 0.9978 0.5839  1 B 1.33
O 0.8741 0.4980 0.4179  2 B 1.41
B 0.1637 0.7110 0.5829  3 O 1.33-1.41

## Properties
* electronic total energy: -7.870 eV/atom
* ΔH_f (0 K): -96.6 eV per formula unit

=====

# 5
Computed, not measured: crystalline Mg14CrMo at its relaxed geometry at the GGA-PBE level of DFT.

Unit cell a=6.2958 b=6.1859 c=10.0007 alpha=90.00 beta=90.00 gamma=119.42
Last column: nearest neighbours and their distance in Å.
Element x y z (fractional)
Mg 0.3273 0.1602 0.3630  1 Mo 2.98, 1 Cr 2.98, 10 Mg 3.02-3.24
Mg 0.6664 0.8325 0.1250  8 Mg 3.02-3.10, 2 Mo 3.10-3.19, 2 Cr 3.14-3.15
Mg 0.3273 0.6671 0.3630  1 Mo 2.98, 1 Cr 2.98, 10 Mg 3.02-3.24
Mg 0.8406 0.1703 0.8777  1 Cr 3.05, 11 Mg 3.07-3.20
Mg 0.1685 0.3342 0.6250  12 Mg 3.09-3.18
Mg 0.6664 0.3339 0.1250  8 Mg 3.02-3.10, 2 Mo 3.10-3.19, 2 Cr 3.14-3.15
Cr 0.1668 0.3334 0.1250  10 Mg 2.98-3.15, 2 Mo 3.09
Mg 0.8441 0.6720 0.3682  1 Mo 2.98, 11 Mg 3.04-3.24
Mg 0.3273 0.1602 0.8870  1 Mo 2.98, 1 Cr 2.98, 10 Mg 3.02-3.24
Mg 0.8441 0.6720 0.8818  1 Mo 2.98, 11 Mg 3.04-3.24
Mg 0.6645 0.8313 0.6250  12 Mg 3.08-3.21
Mg 0.6645 0.3332 0.6250  12 Mg 3.08-3.21
Mg 0.8406 0.1703 0.3723  1 Cr 3.05, 11 Mg 3.07-3.20
Mo 0.1576 0.8288 0.1250  10 Mg 2.98-3.19, 2 Cr 3.09
Mg 0.3273 0.6671 0.8870  1 Mo 2.98, 1 Cr 2.98, 10 Mg 3.02-3.24
Mg 0.1667 0.8334 0.6250  12 Mg 3.09-3.16

## Properties
* electronic total energy: -2.518 eV/atom
* E above lowest polymorph: 0.00 eV per formula unit
* ΔH_f (0 K): 2.6 eV per formula unit

=====

# 6
Computed, not measured: crystalline Ba4IrN4 at its relaxed geometry at the GGA-PBE level of DFT.

Unit cell a=7.4656 b=6.9764 c=9.8258 alpha=74.49 beta=68.00 gamma=68.06
Last column: nearest neighbours and their distance in Å.
Element x y z (fractional)
N 0.7404 0.5702 0.9012  1 Ir 1.96
Ba 0.7675 0.4537 0.6397  3 N 2.64-2.81
Ba 0.1922 0.3888 0.8434  5 N 2.84-3.01
N 0.0119 0.2830 0.3998  1 Ir 2.01
N 0.5930 0.0723 0.7713  1 Ir 1.84
Ba 0.2325 0.5463 0.3603  3 N 2.64-2.81
N 0.9981 0.1638 0.1308  1 Ir 1.95
N 0.9881 0.7170 0.6002  1 Ir 2.01
Ir 0.8011 0.8291 0.7899  4 N 1.84-2.01
N 0.0019 0.8362 0.8692  1 Ir 1.95
N 0.2596 0.4298 0.0988  1 Ir 1.96
Ba 0.6928 0.1867 0.0255  4 N 2.72-2.97
Ba 0.2328 0.9411 0.5577  3 N 2.68-2.94
Ba 0.3072 0.8133 0.9745  4 N 2.72-2.97
Ba 0.8078 0.6112 0.1566  5 N 2.84-3.01
Ir 0.1989 0.1709 0.2101  4 N 1.84-2.01
Ba 0.7672 0.0589 0.4423  3 N 2.68-2.94
N 0.4070 0.9277 0.2287  1 Ir 1.84

## Properties
* electronic total energy: -5.810 eV/atom
* ΔH_f (0 K): -3.9 eV per formula unit

=====

# 7
Computed, not measured: crystalline SnH4 at its relaxed geometry at the GGA-PBE level of DFT.

Unit cell a=4.0501 b=4.6442 c=6.2130 alpha=87.47 beta=90.00 gamma=90.00
Last column: nearest neighbours and their distance in Å.
Element x y z (fractional)
H 0.7500 0.1242 0.0546  1 H 0.76
Sn 0.2500 0.2396 0.5722  5 H 2.78-3.04
H 0.7500 0.6367 0.8691  1 H 0.75
H 0.2500 0.8653 0.0675  1 H 0.76
H 0.7500 0.6295 0.9903  1 H 0.75
H 0.7500 0.1347 0.9325  1 H 0.76
Sn 0.7500 0.7604 0.4278  5 H 2.78-3.04
H 0.2500 0.8758 0.9454  1 H 0.76
H 0.2500 0.3633 0.1309  1 H 0.75
H 0.2500 0.3705 0.0097  1 H 0.75

## Properties
* electronic total energy: -3.317 eV/atom
* E above lowest polymorph: 0.03 eV per formula unit
* ΔH_f (0 K): 0.3 eV per formula unit

=====

# 8
Computed, not measured: crystalline Zr2Ga3 at its relaxed geometry at the GGA-PBE level of DFT.

Unit cell a=8.4021 b=7.4617 c=5.5106 alpha=79.17 beta=60.72 gamma=40.10
Last column: nearest neighbours and their distance in Å.
Element x y z (fractional)
Ga 0.3967 0.6033 0.6033  4 Ga 2.63-2.72, 4 Zr 2.82-2.91
Zr 0.2488 0.8558 0.1126  8 Ga 2.82-3.06
Zr 0.7828 0.1126 0.8558  8 Ga 2.82-3.06
Ga 0.8205 0.4093 0.0390  4 Ga 2.63-2.77, 4 Zr 2.87-2.92
Ga 0.8407 0.4295 0.5188  4 Ga 2.63-2.77, 4 Zr 2.87-2.92
Ga 0.2110 0.5188 0.4295  4 Ga 2.63-2.77, 4 Zr 2.87-2.92
Ga 0.7312 0.0390 0.4093  4 Ga 2.63-2.77, 4 Zr 2.87-2.92
Zr 0.3942 0.0012 0.4672  8 Ga 2.82-3.06
Zr 0.1374 0.4672 0.0012  8 Ga 2.82-3.06
Ga 0.6467 0.8533 0.8533  4 Ga 2.63-2.72, 4 Zr 2.82-2.91

## Properties
* electronic total energy: -5.851 eV/atom
* ΔH_f (0 K): -3.1 eV per formula unit